## Na14Sc4Nb4Si11SO48 (PBE-GGA)

Data for a relaxed structure of Na14Sc4Nb4Si11SO48. Values from VASP.

The structure in Quantum ESPRESSO input format:
```
&SYSTEM
  ibrav = 0, nat = 246, ntyp = 6
/
ATOMIC_SPECIES
Na 22.99 Na.upf
Sc 44.96 Sc.upf
Nb 92.91 Nb.upf
Si 28.09 Si.upf
S 32.06 S.upf
O 16.00 O.upf
CELL_PARAMETERS angstrom
9.1722 0.0000 0.0000
0.0141 15.8681 0.0000
0.0006 0.0060 22.6453
ATOMIC_POSITIONS angstrom
Na 0.0000 0.0000 0.0000
Na 9.1687 0.4800 7.5818
Na 0.0247 10.9425 15.1003
Na 0.1371 10.5108 7.5825
Na 1.2310 8.4299 18.8699
Na 1.2499 7.8955 11.3381
Na 1.2475 13.0885 3.8166
Na 1.2518 2.4955 18.8733
Na 1.2483 3.1596 3.7723
Na 1.3275 13.6401 11.3073
Na 1.7998 13.4147 18.8359
Na 1.8179 8.0936 3.7737
Na 2.8865 5.4318 1.9407
Na 2.9277 0.2408 9.4578
Na 2.9668 10.7490 5.6707
Na 2.9639 10.7457 17.0698
Na 3.0222 0.2307 20.7035
Na 3.0383 5.4262 13.1791
Na 4.1831 13.3140 7.5731
Na 4.2871 8.0900 15.1016
Na 4.5759 8.4207 7.5775
Na 4.5947 7.9315 22.6443
Na 4.6125 13.1694 15.1171
Na 4.6924 2.5921 7.5845
Na 4.7044 3.0669 15.0673
Na 5.8125 0.5108 18.8765
Na 5.8239 5.1570 3.8142
Na 5.8395 11.0885 3.7710
Na 5.8492 10.4105 18.8759
Na 5.9174 15.8618 11.3420
Na 6.3310 10.6707 11.3515
Na 6.3840 5.4798 18.8083
Na 6.3951 0.1606 3.7654
Na 7.4793 13.3653 1.9427
Na 7.4968 8.1025 9.5175
Na 7.5362 2.8407 16.9784
Na 7.5542 13.4028 13.2078
Na 7.5543 2.8241 5.6564
Na 7.6140 8.1566 20.6949
Na 8.7641 0.2598 15.0558
Na 8.7950 5.3992 7.5340
Na 9.1588 5.2039 15.0936
Sc 2.9496 5.4701 5.2291
Sc 2.9509 0.1837 17.4140
Sc 2.9690 10.7447 9.0301
Sc 2.9853 10.6477 20.3368
Sc 3.0481 10.6800 2.3206
Sc 7.4724 2.7824 13.6271
Sc 7.4773 8.1079 12.8681
Sc 7.5265 2.7376 9.0334
Sc 7.5423 8.1145 17.3911
Sc 7.5480 13.4035 5.2230
Sc 7.5650 2.7216 20.3263
Sc 7.6268 2.7499 2.3167
Nb 2.8382 5.4407 21.1864
Nb 2.9466 0.2543 12.7672
Nb 2.9509 0.1707 6.1040
Nb 2.9632 10.7218 13.6113
Nb 2.9873 5.4639 16.5464
Nb 3.0410 0.2659 1.4530
Nb 3.0562 5.4408 9.8254
Nb 7.4350 13.3740 21.1928
Nb 7.5535 13.4033 16.5537
Nb 7.5588 8.1075 6.1105
Nb 7.5723 13.4038 9.8575
Nb 7.6324 8.1965 1.4531
Si 0.2545 5.4633 18.8357
Si 0.2646 10.7211 11.2881
Si 0.3014 0.1593 3.7366
Si 1.0488 8.1002 15.0835
Si 1.0677 13.3858 7.5008
Si 1.0651 2.8211 0.0040
Si 1.5978 2.5092 15.1405
Si 1.6064 3.1582 7.5152
Si 1.6149 8.4279 22.6406
Si 1.6320 7.7724 7.5363
Si 1.6408 13.7321 15.1019
Si 4.2896 13.7256 3.7575
Si 4.3066 3.1581 18.8944
Si 4.3089 7.7587 18.9089
Si 4.3106 13.0843 11.3071
Si 4.3161 2.5132 3.8006
Si 4.3322 8.3881 11.2753
Si 4.8451 13.3967 18.8525
Si 4.8460 2.8573 11.3252
Si 4.8988 8.0918 3.7434
Si 5.6256 0.1791 15.1223
Si 5.6577 10.7529 0.0048
Si 5.6671 5.4525 7.4920
Si 6.1948 0.4962 22.6395
Si 6.2039 10.4364 15.1038
Si 6.2099 11.0835 7.5142
Si 6.2155 15.7152 7.5153
Si 6.2285 5.7813 15.1290
Si 8.8688 5.7907 3.7581
Si 8.8995 11.0939 18.8869
Si 8.8979 15.6935 18.9075
Si 8.9087 10.4465 3.7967
Si 8.9052 0.5135 11.3223
S 1.6229 13.0861 22.6409
S 6.2015 5.1514 22.6445
S 8.9039 5.1452 11.3061
O 0.0060 2.9862 7.7087
O 0.0113 2.7141 14.9057
O 0.0595 13.6512 8.8357
O 0.1319 13.2742 22.5259
O 0.1393 13.1392 6.2104
O 0.1684 2.5200 21.3261
O 0.1772 8.4528 16.4057
O 0.1809 7.7939 13.7509
O 0.1956 3.0711 1.3499
O 1.1943 10.5100 9.9949
O 1.2296 5.3023 11.1895
O 1.2757 11.0063 12.6100
O 1.2867 5.2300 17.5501
O 1.3078 5.6858 20.1211
O 1.3103 5.7059 3.8319
O 1.3271 15.8154 2.4506
O 1.3173 0.3848 5.0667
O 1.3375 15.7907 18.8032
O 1.3421 10.5311 3.6658
O 1.3462 11.0423 18.9608
O 1.3667 0.2407 11.4968
O 1.8130 1.5650 16.4318
O 1.8278 9.3070 21.2948
O 1.8380 4.0614 6.1989
O 1.8607 12.2722 1.2150
O 1.8813 6.7722 8.8600
O 1.9022 14.7015 13.7873
O 1.9696 14.7888 7.4306
O 1.9826 1.4200 0.1809
O 2.0349 12.1036 7.6649
O 2.0502 6.7796 15.2664
O 2.0523 9.4429 14.9001
O 2.0763 4.1377 22.4617
O 2.1994 12.4756 21.4325
O 2.2048 14.4636 0.1180
O 2.2590 9.2622 7.6759
O 2.2852 12.2173 14.8805
O 2.3118 7.1081 6.2296
O 2.3263 9.0525 1.3183
O 2.3539 14.3204 16.4218
O 2.3530 1.6663 7.4279
O 2.3567 1.7292 13.8540
O 2.3568 3.9822 15.2131
O 2.3723 3.9278 8.7957
O 2.3698 6.9359 22.4666
O 3.4936 6.9489 11.1889
O 3.5306 12.2962 3.6772
O 3.5608 3.9349 3.8349
O 3.5650 9.2124 18.9367
O 3.5727 1.7163 18.8097
O 3.5855 3.9814 20.1358
O 3.5976 9.1690 12.6018
O 3.6006 12.4714 10.0047
O 3.5937 1.7124 2.5234
O 3.6061 6.9974 17.5886
O 3.6081 14.5017 5.0941
O 3.6591 14.5827 11.5260
O 3.8406 4.1705 11.1275
O 3.9148 1.4624 11.5126
O 3.9370 14.7586 2.5165
O 3.9674 12.0484 18.9697
O 3.9752 4.1288 17.5689
O 3.9805 6.7813 20.1999
O 3.9908 14.7618 18.8102
O 3.9915 1.5010 5.0933
O 3.9933 6.7531 3.8346
O 4.0101 9.4592 3.7091
O 4.0336 12.0970 12.6237
O 4.0705 9.3351 9.9949
O 4.5534 10.6322 14.9093
O 4.5572 15.8153 7.4404
O 4.5531 0.2694 0.1853
O 4.5542 5.6250 15.2898
O 4.6128 10.8966 7.6803
O 4.6242 5.7388 8.7978
O 4.6545 15.7674 13.8007
O 4.7120 5.3405 22.5284
O 4.7128 0.4295 16.4270
O 4.7409 5.1675 6.2083
O 4.7605 10.4601 21.3252
O 4.7889 11.0090 1.3495
O 5.7044 3.0757 12.6727
O 5.7247 2.5255 10.0020
O 5.8836 13.1791 17.5620
O 5.9015 13.6184 20.1268
O 5.9023 13.6417 3.8341
O 5.9064 7.8825 2.4514
O 5.9149 8.3187 5.0691
O 5.9217 2.5939 3.6699
O 5.9238 3.0994 18.9755
O 5.9213 7.8747 18.8159
O 5.9351 8.2911 11.4533
O 5.9644 13.2156 11.2127
O 6.3541 9.5209 16.4282
O 6.3713 6.7850 13.8651
O 6.4090 1.3719 21.2940
O 6.4406 4.3390 1.2161
O 6.4533 12.0118 6.2213
O 6.4914 14.7209 8.8543
O 6.5520 6.8541 7.4277
O 6.5737 9.3541 0.1787
O 6.5781 14.6669 15.2187
O 6.6038 1.4674 14.9718
O 6.6416 4.1864 7.7332
O 6.6702 12.0701 22.4579
O 6.7800 4.5406 21.4347
O 6.7853 6.5296 0.1203
O 6.8399 1.3325 7.6749
O 6.8723 11.9582 15.2674
O 6.8738 4.2887 14.9815
O 6.9001 6.4248 16.4676
O 6.9076 15.0562 6.2229
O 6.9058 1.1144 1.3199
O 6.9296 9.8533 13.7774
O 6.9458 11.8239 8.8488
O 6.9613 9.5993 7.4286
O 6.9635 14.8690 22.4636
O 8.1103 4.3601 3.6774
O 8.1440 1.2749 18.9357
O 8.1529 11.8691 3.8337
O 8.1643 9.6571 18.8022
O 8.1778 1.1036 12.6413
O 8.1852 9.6470 2.5209
O 8.1824 11.9215 20.1264
O 8.1873 6.5620 5.0938
O 8.1960 14.9288 17.5769
O 8.2260 14.8459 11.1408
O 8.3282 6.5171 11.4074
O 8.3362 4.5125 10.0970
O 8.4974 9.4094 11.4426
O 8.5165 6.8237 2.5156
O 8.5240 12.1217 11.2032
O 8.5442 4.1189 18.9820
O 8.5687 12.0697 17.5478
O 8.5733 14.7109 20.1929
O 8.5840 14.6885 3.8289
O 8.5796 6.8370 18.7975
O 8.5859 9.4371 5.0893
O 8.5882 1.5268 3.7110
O 8.6605 4.3402 12.5239
O 8.6786 1.3573 9.9680
O 9.1360 7.8729 7.4251
O 9.1453 8.2051 0.1858
O 9.1580 13.5771 15.2070
```

## Properties
As for the total energy: -7.270 eV per atom. The value obtained for the energy of formation is -2.9699 eV/atom. The volume is 13.4 Å³ per atom. The calculation puts the magnetization at 0.00 μB/cell.

***

## SmLuMg2 (PBE-GGA)

Data for a relaxed structure of SmLuMg2. Values from VASP.

The structure in Quantum ESPRESSO input format:
```
&SYSTEM
  ibrav = 0, nat = 4, ntyp = 3
/
ATOMIC_SPECIES
Sm 150.36 Sm.upf
Lu 174.97 Lu.upf
Mg 24.30 Mg.upf
CELL_PARAMETERS angstrom
0.0000 3.7843 3.7843
3.7843 0.0000 3.7843
3.7843 3.7843 0.0000
ATOMIC_POSITIONS angstrom
Sm 0.0000 0.0000 0.0000
Lu 3.7843 3.7843 3.7843
Mg 1.8922 1.8922 1.8922
Mg 5.6765 5.6765 5.6765
```

## Properties
As for the total energy: -3.185 eV per atom. The value obtained for the energy of formation is -0.0749 eV/atom. The volume is 27.1 Å³ per atom.

***

## Li2SiSnS4 (PBE-GGA)

Data for a relaxed structure of Li2SiSnS4. Values from VASP.

The structure in Quantum ESPRESSO input format:
```
&SYSTEM
  ibrav = 0, nat = 8, ntyp = 4
/
ATOMIC_SPECIES
Li 6.94 Li.upf
Si 28.09 Si.upf
Sn 118.71 Sn.upf
S 32.06 S.upf
CELL_PARAMETERS angstrom
-3.2352 3.2352 3.8644
3.2352 -3.2352 3.8644
3.2352 3.2352 -3.8644
ATOMIC_POSITIONS angstrom
Li 3.2352 0.0000 1.9322
Li 0.0000 3.2352 1.9322
Si 0.0000 0.0000 0.0000
Sn 0.0000 0.0000 3.8644
S 1.9930 -1.9930 2.6409
S 1.2423 1.2423 1.2235
S 1.2423 5.2282 -1.2235
S 1.9930 1.9930 5.0879
```

## Properties
As for the total energy: -4.609 eV per atom. The value obtained for the energy of formation is -1.1358 eV/atom. The volume is 20.2 Å³ per atom. The calculation puts the magnetization at 0.00 μB/cell.

***

## CeSbIr (PBE-GGA)

Data for a relaxed structure of CeSbIr. Values from VASP.

The structure in Quantum ESPRESSO input format:
```
&SYSTEM
  ibrav = 0, nat = 12, ntyp = 3
/
ATOMIC_SPECIES
Ce 140.12 Ce.upf
Sb 121.76 Sb.upf
Ir 192.22 Ir.upf
CELL_PARAMETERS angstrom
7.2751 0.0000 0.0000
0.0000 4.5786 0.0000
0.0000 0.0000 7.9820
ATOMIC_POSITIONS angstrom
Ce 0.0820 1.1447 1.5369
Ce 3.5555 3.4340 5.5279
Ce 3.7196 1.1447 2.4541
Ce 7.1931 3.4340 6.4451
Sb 1.2919 1.1447 4.6942
Sb 2.3456 3.4340 0.7032
Sb 4.9295 1.1447 7.2788
Sb 5.9832 3.4340 3.2878
Ir 1.5978 3.4340 3.3124
Ir 2.0398 1.1447 7.3033
Ir 5.2353 3.4340 0.6786
Ir 5.6773 1.1447 4.6696
```

## Properties
As for the total energy: -7.194 eV per atom. The value obtained for the energy of formation is -0.8940 eV/atom. The volume is 22.2 Å³ per atom.

***

## Mn4Ga3Cu2 (PBE-GGA)

Data for a relaxed structure of Mn4Ga3Cu2. Values from VASP.

The structure in Quantum ESPRESSO input format:
```
&SYSTEM
  ibrav = 0, nat = 18, ntyp = 3
/
ATOMIC_SPECIES
Mn 54.94 Mn.upf
Ga 69.72 Ga.upf
Cu 63.55 Cu.upf
CELL_PARAMETERS angstrom
4.1996 0.0000 0.0000
-2.0998 3.6370 0.0000
0.0000 0.0000 15.9431
ATOMIC_POSITIONS angstrom
Mn 0.0000 0.0000 1.3205
Mn 0.0000 0.0000 4.0211
Mn 0.0000 0.0000 6.6009
Mn 0.0000 0.0000 9.3423
Mn 0.0000 0.0000 11.9220
Mn 0.0000 0.0000 14.6226
Mn 0.0000 2.4247 5.3105
Mn 0.0000 2.4247 10.6326
Ga 0.0000 2.4247 2.6728
Ga 0.0000 2.4247 7.9716
Ga 0.0000 2.4247 13.2703
Ga 2.0998 1.2123 0.0000
Ga 2.0998 1.2123 5.3092
Ga 2.0998 1.2123 10.6339
Cu 0.0000 2.4247 0.0000
Cu 2.0998 1.2123 2.6799
Cu 2.0998 1.2123 7.9716
Cu 2.0998 1.2123 13.2633
```

## Properties
As for the total energy: -6.001 eV per atom. The value obtained for the energy of formation is -0.0091 eV/atom. The volume is 13.5 Å³ per atom. The calculation puts the magnetization at 23.04 μB/cell.

***

## SmAl3Pd2 (PBE-GGA)

Data for a relaxed structure of SmAl3Pd2. Values from VASP.

The structure in Quantum ESPRESSO input format:
```
&SYSTEM
  ibrav = 0, nat = 6, ntyp = 3
/
ATOMIC_SPECIES
Sm 150.36 Sm.upf
Al 26.98 Al.upf
Pd 106.42 Pd.upf
CELL_PARAMETERS angstrom
5.4584 0.0000 0.0000
-2.7292 4.7271 0.0000
0.0000 0.0000 4.2254
ATOMIC_POSITIONS angstrom
Sm 0.0000 0.0000 0.0000
Al -1.3646 2.3636 2.1127
Al 2.7292 0.0000 2.1127
Al 1.3646 2.3636 2.1127
Pd 0.0000 3.1514 0.0000
Pd 2.7292 1.5757 0.0000
```

## Properties
As for the total energy: -5.243 eV per atom. The value obtained for the energy of formation is -0.8569 eV/atom. The volume is 18.2 Å³ per atom.

***

Q: Which value of volume does entry 3 give?
A: 20.2 Å³ per atom

***

Q: Which value of volume does entry 6 give?
A: 18.2 Å³ per atom

***

Q: Look up the volume of the fourth one.
A: 22.2 Å³ per atom

***

Q: Which value of energy of formation does entry 6 give?
A: -0.8569 eV/atom